This record from the Materials Project database describes a relaxed SiH6N2F6 crystal. The functional is PBE-GGA.

Results
* E_tot: -5.22 eV per atom
* formation energy: -1.81 eV per atom

```
data_SiH6N2F6
_cell_length_a 7.6457
_cell_length_b 8.6337
_cell_length_c 7.6758
_cell_angle_alpha 90.00
_cell_angle_beta 90.00
_cell_angle_gamma 90.00
_symmetry_space_group_name_H-M 'P b c a'
_symmetry_Int_Tables_number 61
loop_
_symmetry_equiv_pos_as_xyz
'x,y,z'
'-x,-y,-z'
'-x+1/2,-y,z+1/2'
'x+1/2,y,-z+1/2'
'x+1/2,-y+1/2,-z'
'-x+1/2,y+1/2,z'
'-x,y+1/2,-z+1/2'
'x,-y+1/2,z+1/2'
loop_
_atom_site_label
_atom_site_fract_x
_atom_site_fract_y
_atom_site_fract_z
Si1 0.0000 0.0000 0.0000
H1 0.0029 0.1346 0.3889
H2 0.0811 0.1245 0.5969
H3 0.1396 0.6018 0.9396
N1 0.0134 0.5824 0.9889
F1 0.0586 0.1212 0.1696
F2 0.1474 0.0947 0.8667
F3 0.1581 0.6281 0.5596
```